Na2GaGeP3O12 after structural relaxation, computed with PBE.

The structure in POSCAR format:
```
Na2GaGeP3O12
1.0
-0.4087 -5.7159 6.3514
-4.5275 -1.1685 -7.1635
16.7485 -10.9761 -8.7544
O Na P Ga Ge
72 12 18 6 6
direct
0.1646 0.9761 0.9102
0.6338 0.5108 0.6422
0.1718 0.9613 0.1908
0.6444 0.1494 0.4235
0.3506 0.8547 0.5766
0.4934 0.1255 0.6407
0.4995 0.8580 0.0762
0.9726 0.1580 0.5904
0.0387 0.8282 0.6908
0.1750 0.4792 0.2570
0.8417 0.8126 0.5903
0.8120 0.9827 0.4100
0.8385 0.2946 0.5241
0.4787 0.3160 0.7433
0.7915 0.9565 0.6937
0.8267 0.7922 0.3074
0.3110 0.4827 0.7568
0.8506 0.3556 0.9235
0.1753 0.6941 0.7571
0.6840 0.5213 0.2433
0.8087 0.8338 0.9096
0.6906 0.1687 0.7435
0.7916 0.8312 0.1921
0.5208 0.8250 0.7570
0.1688 0.2084 0.6921
0.8355 0.5417 0.0255
0.1662 0.1913 0.4096
0.3059 0.8247 0.2571
0.8313 0.3094 0.2435
0.8541 0.4917 0.4236
0.4892 0.3662 0.1422
0.8753 0.3724 0.6392
0.5411 0.8400 0.4741
0.8420 0.0274 0.0904
0.3573 0.5020 0.0768
0.9671 0.1775 0.3088
0.1874 0.1583 0.0903
0.1559 0.6995 0.4755
0.2087 0.0391 0.3059
0.5420 0.7058 0.9726
0.1453 0.6494 0.0766
0.0173 0.1880 0.9100
0.4980 0.6427 0.5768
0.1248 0.6232 0.3603
0.6276 0.1247 0.1392
0.6393 0.4913 0.9238
0.9777 0.8160 0.0901
0.4753 0.1672 0.2429
0.1420 0.5005 0.5762
0.4583 0.1645 0.5255
0.5173 0.6890 0.2568
0.5052 0.6280 0.8574
0.8328 0.5247 0.7429
0.2078 0.1733 0.8074
0.2942 0.4580 0.4726
0.4581 0.2899 0.0270
0.0239 0.8354 0.4102
0.7101 0.5419 0.5270
0.3005 0.8441 0.9755
0.7054 0.1615 0.0241
0.5083 0.1459 0.9236
0.3768 0.8752 0.8603
0.1600 0.4589 0.9741
0.1840 0.0223 0.5901
0.0435 0.2085 0.1937
0.5087 0.3607 0.4238
0.8225 0.0329 0.8088
0.5022 0.8750 0.3588
0.9609 0.7913 0.8059
0.3720 0.4948 0.3574
0.1250 0.4978 0.8588
0.8745 0.5066 0.1407
0.6670 0.3335 0.3323
0.0323 0.6967 0.5830
0.9999 0.9997 0.4990
0.3337 0.6668 0.6656
0.6367 0.6343 0.7497
0.3033 0.9677 0.0830
0.3657 0.3633 0.2497
0.0003 0.0001 0.9990
0.6665 0.3330 0.8323
0.9700 0.3010 0.4164
0.6990 0.0300 0.9164
0.3332 0.6663 0.1656
0.7119 0.7126 0.2505
0.0044 0.7117 0.7503
0.0445 0.6705 0.4177
0.3779 0.3372 0.0843
0.3786 0.0459 0.5839
0.0453 0.3792 0.9172
0.2874 0.2881 0.7505
0.3295 0.9555 0.9177
0.6628 0.6221 0.5843
0.9541 0.6214 0.0839
0.7112 0.0039 0.7510
0.2883 0.9956 0.2503
0.9961 0.2888 0.2510
0.6216 0.6623 0.9169
0.9550 0.3290 0.5836
0.3377 0.3784 0.4169
0.6710 0.0450 0.0836
0.6208 0.9547 0.4172
0.3325 0.6614 0.0190
0.6659 0.3280 0.6857
0.9992 0.9947 0.3524
0.0053 0.0008 0.8524
0.6720 0.3341 0.1857
0.3386 0.6675 0.5190
0.3278 0.6653 0.8145
0.0014 0.0056 0.6479
0.6681 0.3389 0.9812
0.3347 0.6722 0.3145
0.9944 0.9986 0.1479
0.6611 0.3319 0.4812
```

Properties
Calculated formation energy (meV per atom): -2504
Mass density (g/cm³): 3.416
Calculated volume (Å³/cell): 1380.2